Model a:
## Ti3O5 (PBE-GGA)

Data for Ti3O5 after structural relaxation.

```
Ti3O5
1.0
-4.2137 -2.3965 2.1397
-2.4959 -4.6521 -0.4537
5.3224 -3.6942 6.7386
O Ti
10 6
Direct
0.3240 0.3240 0.0548
0.8711 0.8711 0.5570
0.5898 0.5898 0.6584
0.6760 0.6760 0.9452
0.7585 0.7585 0.2441
0.2415 0.2415 0.7559
0.4102 0.4102 0.3416
0.9566 0.9566 0.8474
0.1289 0.1289 0.4430
0.0434 0.0434 0.1526
0.2187 0.2187 0.2638
0.9455 0.9455 0.3609
0.1296 0.1296 0.9537
0.8704 0.8704 0.0463
0.7813 0.7813 0.7362
0.0545 0.0545 0.6391
```

Model b:
## Ti3O5 (PBE-GGA)

Data for Ti3O5 after structural relaxation.

```
Ti3O5
1.0
-5.6638 -8.9514 -4.4090
-3.5446 -2.4590 9.7779
-8.1447 5.4811 -2.2104
O Ti
65 39
Direct
0.9476 0.3650 0.6978
0.6762 0.2804 0.8318
0.5590 0.2458 0.5811
0.3991 0.1916 0.1185
0.2510 0.9016 0.0347
0.3520 0.4761 0.2069
0.0750 0.1153 0.7924
0.3408 0.7038 0.2688
0.5416 0.7740 0.1808
0.7662 0.7403 0.5749
0.7490 0.8210 0.0704
0.6347 0.0686 0.3593
0.3679 0.6248 0.0059
0.8795 0.1863 0.3395
0.7674 0.7971 0.8367
0.9652 0.8323 0.5284
0.6056 0.6327 0.9774
0.4329 0.2798 0.3661
0.0010 0.3678 0.9369
0.5815 0.7314 0.7296
0.7515 0.0321 0.8189
0.9134 0.0479 0.5901
0.3587 0.2898 0.7595
0.0452 0.1867 0.1055
0.5792 0.5021 0.2191
0.6260 0.2462 0.1364
0.9696 0.8728 0.8009
0.7841 0.6417 0.2443
0.7810 0.2324 0.5590
0.4310 0.8168 0.5637
0.7827 0.0540 0.1088
0.6398 0.8037 0.3873
0.9522 0.4959 0.4372
0.5448 0.0191 0.6104
0.7667 0.5045 0.7734
0.1069 0.5166 0.1710
0.2077 0.1529 0.2880
0.3213 0.1360 0.5173
0.5756 0.9875 0.0674
0.3389 0.6757 0.7444
0.1343 0.9166 0.2854
0.0105 0.9518 0.0356
0.1930 0.4359 0.4175
0.9355 0.6365 0.0053
0.1093 0.2642 0.5359
0.0572 0.5827 0.7058
0.1895 0.6747 0.4787
0.8280 0.9309 0.3123
0.8770 0.3875 0.2217
0.5439 0.4912 0.7221
0.7157 0.4921 0.4810
0.1665 0.6390 0.9535
0.2348 0.3593 0.9775
0.1800 0.8233 0.7899
0.3676 0.4768 0.5532
0.4168 0.9751 0.3388
0.4470 0.8573 0.9081
0.5036 0.1198 0.8904
0.1860 0.9261 0.5439
0.9862 0.7082 0.3020
0.4846 0.3862 0.9912
0.7517 0.4611 0.0090
0.4816 0.6166 0.4174
0.2474 0.1102 0.9593
0.8302 0.2234 0.9758
0.2398 0.5123 0.0689
0.7826 0.0646 0.4489
0.6953 0.5994 0.6541
0.4573 0.7999 0.3576
0.2566 0.2668 0.4168
0.3803 0.2459 0.9357
0.6601 0.1322 0.6902
0.6114 0.8096 0.9239
0.1496 0.0335 0.1459
0.3029 0.7583 0.9169
0.6714 0.1352 0.9844
0.0577 0.4483 0.5552
0.0490 0.6858 0.8511
0.2609 0.0079 0.3869
0.4508 0.3653 0.6426
0.9512 0.5551 0.2002
0.6746 0.9294 0.2169
0.8868 0.2148 0.1509
0.6219 0.4452 0.8941
0.3122 0.5641 0.3931
0.0929 0.7977 0.4091
0.6053 0.8486 0.5798
0.6461 0.6000 0.3654
0.8497 0.3671 0.8648
0.0506 0.9700 0.6601
0.4940 0.1187 0.4638
0.2728 0.7757 0.6117
0.8416 0.3639 0.4185
0.4757 0.6165 0.1395
0.4915 0.3241 0.1878
0.8252 0.8975 0.6763
0.1076 0.2456 0.9385
0.1265 0.9767 0.9002
0.8392 0.7805 0.3925
0.7738 0.6372 0.0485
0.4641 0.6321 0.6159
0.8459 0.9312 0.9525
0.4101 0.0174 0.0176
0.9525 0.2228 0.5876
```

Bottom line: model a, by a margin of 195 meV/atom.